[1]
This record from the Materials Project database describes Th2TeN2 after structural relaxation. The functional is PBE-GGA.

The structure in POSCAR format:
```
Th2TeN2
1.0
4.109 0.000 0.000
0.000 4.109 0.000
-2.054 -2.054 6.584
Th N Te
2 2 1
direct
0.663 0.663 0.327 Th
0.337 0.337 0.673 Th
0.250 0.750 0.500 N
0.750 0.250 0.500 N
0.000 0.000 0.000 Te
```

Properties
The formation energy is -1965 meV per atom. Its energy with MP2020 corrections is -44.5 eV/cell. The calculated volume comes out at 111.2 Å³/cell. Its crystal system is tetragonal.

=====

[2]
This record from the Materials Project database describes In4Ag3Ge4Se16 after structural relaxation. The functional is PBE-GGA.

The structure in POSCAR format:
```
In4Ag3Ge4Se16
1.0
-6.047 -7.070 8.490
-11.838 1.952 3.832
6.986 -0.907 -10.441
Se In Ag Ge
16 4 3 4
direct
0.038 0.331 0.242 Se
0.090 0.797 0.758 Se
0.579 0.306 0.769 Se
0.537 0.810 0.231 Se
0.288 0.049 0.709 Se
0.669 0.910 0.707 Se
0.951 0.659 0.239 Se
0.341 0.580 0.291 Se
0.919 0.212 0.761 Se
0.451 0.158 0.239 Se
0.694 0.463 0.273 Se
0.420 0.712 0.761 Se
0.203 0.962 0.293 Se
0.842 0.081 0.293 Se
0.788 0.549 0.707 Se
0.190 0.421 0.727 Se
0.377 0.372 0.504 In
0.868 0.873 0.496 In
0.127 0.623 0.995 In
0.628 0.132 0.005 In
0.250 0.250 0.000 Ag
0.750 0.750 0.000 Ag
0.000 0.000 0.000 Ag
0.503 0.003 0.500 Ge
0.250 0.750 0.500 Ge
0.997 0.497 0.500 Ge
0.750 0.250 0.500 Ge
```

Properties
The formation energy is -571 meV per atom. Its energy with MP2020 corrections is -109.3 eV/cell. The calculated volume comes out at 762.1 Å³/cell. Its crystal system is tetragonal. The spin magnetization is 0.031 μB/atom.

=====

[3]
This record from the Materials Project database describes NbBi4ClO8 after structural relaxation. The functional is PBE-GGA.

The structure in POSCAR format:
```
NbBi4ClO8
1.0
-0.922 4.542 -3.063
-5.302 -1.666 -0.875
-8.512 14.473 24.026
O Bi Cl Nb
32 16 4 4
direct
0.743 0.254 0.893 O
0.246 0.692 0.733 O
0.246 0.308 0.233 O
0.111 0.915 0.814 O
0.611 0.585 0.186 O
0.243 0.754 0.607 O
0.743 0.746 0.393 O
0.757 0.754 0.893 O
0.257 0.254 0.607 O
0.389 0.585 0.314 O
0.889 0.915 0.686 O
0.253 0.745 0.895 O
0.247 0.755 0.395 O
0.257 0.746 0.107 O
0.747 0.255 0.105 O
0.746 0.808 0.267 O
0.253 0.255 0.395 O
0.754 0.692 0.767 O
0.611 0.415 0.686 O
0.111 0.085 0.314 O
0.254 0.192 0.733 O
0.389 0.415 0.814 O
0.753 0.755 0.105 O
0.243 0.246 0.107 O
0.247 0.245 0.895 O
0.747 0.745 0.605 O
0.889 0.085 0.186 O
0.746 0.192 0.767 O
0.254 0.808 0.233 O
0.754 0.308 0.267 O
0.753 0.245 0.605 O
0.757 0.246 0.393 O
0.524 0.052 0.657 Bi
0.024 0.448 0.343 Bi
0.524 0.948 0.157 Bi
0.512 0.506 0.931 Bi
0.488 0.494 0.069 Bi
0.476 0.948 0.343 Bi
0.488 0.506 0.569 Bi
0.512 0.494 0.431 Bi
0.976 0.448 0.157 Bi
0.988 0.994 0.431 Bi
0.012 0.006 0.569 Bi
0.976 0.552 0.657 Bi
0.012 0.994 0.069 Bi
0.024 0.552 0.843 Bi
0.476 0.052 0.843 Bi
0.988 0.006 0.931 Bi
0.000 0.500 0.500 Cl
0.500 0.000 0.500 Cl
0.000 0.500 0.000 Cl
0.500 0.000 0.000 Cl
0.500 0.487 0.750 Nb
0.000 0.013 0.250 Nb
0.000 0.987 0.750 Nb
0.500 0.513 0.250 Nb
```

Properties
The formation energy is -2002 meV per atom. Its energy with MP2020 corrections is -380.5 eV/cell. The calculated volume comes out at 916.1 Å³/cell. Its crystal system is orthorhombic.

=====

[4]
This record from the Materials Project database describes BaLiP after structural relaxation. The functional is PBE-GGA.

The structure in POSCAR format:
```
BaLiP
1.0
-1.815 1.608 3.828
-2.342 -2.902 -2.574
3.431 -6.715 4.448
Li Ba P
2 2 2
direct
0.333 0.667 0.250 Li
0.667 0.333 0.750 Li
0.000 0.000 0.000 Ba
0.000 0.000 0.500 Ba
0.333 0.667 0.750 P
0.667 0.333 0.250 P
```

Properties
The formation energy is -910 meV per atom. The calculated volume comes out at 155.7 Å³/cell. Its crystal system is hexagonal.

=====

[5]
This record from the Materials Project database describes Na7Ga13 after structural relaxation. The functional is PBE-GGA.

The structure in POSCAR format:
```
Na7Ga13
1.0
0.767 -1.589 -15.609
-8.243 -10.854 -7.810
-11.980 3.676 -9.473
Ga Na
78 42
direct
0.928 0.120 0.737 Ga
0.120 0.737 0.928 Ga
0.489 0.671 0.489 Ga
0.690 0.037 0.383 Ga
0.617 0.963 0.310 Ga
0.619 0.300 0.619 Ga
0.037 0.383 0.690 Ga
0.668 0.489 0.841 Ga
0.263 0.072 0.880 Ga
0.281 0.281 0.092 Ga
0.737 0.120 0.928 Ga
0.841 0.491 0.491 Ga
0.391 0.043 0.391 Ga
0.841 0.668 0.489 Ga
0.489 0.668 0.841 Ga
0.489 0.841 0.668 Ga
0.963 0.310 0.617 Ga
0.159 0.332 0.511 Ga
0.329 0.511 0.511 Ga
0.072 0.263 0.880 Ga
0.006 0.006 0.613 Ga
0.671 0.489 0.489 Ga
0.619 0.619 0.300 Ga
0.332 0.511 0.159 Ga
0.037 0.690 0.383 Ga
0.916 0.916 0.604 Ga
0.263 0.880 0.072 Ga
0.381 0.700 0.381 Ga
0.737 0.928 0.120 Ga
0.511 0.332 0.159 Ga
0.609 0.609 0.957 Ga
0.310 0.963 0.617 Ga
0.491 0.841 0.491 Ga
0.159 0.511 0.332 Ga
0.092 0.281 0.281 Ga
0.006 0.613 0.006 Ga
0.509 0.159 0.509 Ga
0.880 0.072 0.263 Ga
0.700 0.381 0.381 Ga
0.120 0.928 0.737 Ga
0.719 0.908 0.719 Ga
0.928 0.737 0.120 Ga
0.617 0.310 0.963 Ga
0.332 0.159 0.511 Ga
0.604 0.916 0.916 Ga
0.841 0.489 0.668 Ga
0.396 0.084 0.084 Ga
0.383 0.037 0.690 Ga
0.489 0.489 0.671 Ga
0.509 0.509 0.159 Ga
0.281 0.092 0.281 Ga
0.609 0.957 0.609 Ga
0.383 0.690 0.037 Ga
0.491 0.491 0.841 Ga
0.511 0.329 0.511 Ga
0.668 0.841 0.489 Ga
0.084 0.396 0.084 Ga
0.613 0.006 0.006 Ga
0.043 0.391 0.391 Ga
0.690 0.383 0.037 Ga
0.880 0.263 0.072 Ga
0.072 0.880 0.263 Ga
0.994 0.994 0.387 Ga
0.084 0.084 0.396 Ga
0.511 0.159 0.332 Ga
0.994 0.387 0.994 Ga
0.310 0.617 0.963 Ga
0.387 0.994 0.994 Ga
0.159 0.509 0.509 Ga
0.908 0.719 0.719 Ga
0.300 0.619 0.619 Ga
0.719 0.719 0.908 Ga
0.391 0.391 0.043 Ga
0.511 0.511 0.329 Ga
0.957 0.609 0.609 Ga
0.963 0.617 0.310 Ga
0.916 0.604 0.916 Ga
0.381 0.381 0.700 Ga
0.060 0.755 0.755 Na
0.140 0.510 0.140 Na
0.719 0.333 0.719 Na
0.121 0.749 0.499 Na
0.755 0.755 0.060 Na
0.667 0.281 0.281 Na
0.719 0.719 0.333 Na
0.127 0.127 0.747 Na
0.879 0.251 0.501 Na
0.251 0.501 0.879 Na
0.044 0.044 0.044 Na
0.253 0.873 0.873 Na
0.879 0.501 0.251 Na
0.510 0.140 0.140 Na
0.121 0.499 0.749 Na
0.245 0.940 0.245 Na
0.501 0.251 0.879 Na
0.940 0.245 0.245 Na
0.245 0.245 0.940 Na
0.380 0.380 0.380 Na
0.281 0.281 0.667 Na
0.749 0.499 0.121 Na
0.956 0.956 0.956 Na
0.501 0.879 0.251 Na
0.333 0.719 0.719 Na
0.620 0.620 0.620 Na
0.499 0.749 0.121 Na
0.747 0.127 0.127 Na
0.860 0.860 0.490 Na
0.755 0.060 0.755 Na
0.873 0.873 0.253 Na
0.140 0.140 0.510 Na
0.281 0.667 0.281 Na
0.289 0.289 0.289 Na
0.860 0.490 0.860 Na
0.490 0.860 0.860 Na
0.499 0.121 0.749 Na
0.749 0.121 0.499 Na
0.127 0.747 0.127 Na
0.873 0.253 0.873 Na
0.711 0.711 0.711 Na
0.251 0.879 0.501 Na
```

Properties
The formation energy is -176 meV per atom. The calculated volume comes out at 2579.0 Å³/cell. Its crystal system is trigonal. The spin magnetization is 0.000 μB/atom.

=====

[6]
This record from the Materials Project database describes Mn3Sb after structural relaxation. The functional is PBE-GGA.

The structure in POSCAR format:
```
Mn3Sb
1.0
3.813 0.000 0.000
0.000 3.813 0.000
0.000 0.000 3.813
Sb Mn
1 3
direct
0.000 0.000 0.000 Sb
0.500 0.000 0.500 Mn
0.000 0.500 0.500 Mn
0.500 0.500 0.000 Mn
```

Properties
The formation energy is 29 meV per atom. Its energy with MP2020 corrections is -31.5 eV/cell. The calculated volume comes out at 55.5 Å³/cell. Its crystal system is cubic. The spin magnetization is 1.504 μB/atom.

=====

[7]
This record from the Materials Project database describes V2B3 after structural relaxation. The functional is PBE-GGA.

The structure in POSCAR format:
```
V2B3
1.0
3.316 -0.992 8.657
-4.368 3.562 -7.427
-2.502 -1.405 0.797
V B
4 6
direct
0.295 0.705 0.750 V
0.705 0.295 0.250 V
0.429 0.571 0.250 V
0.571 0.429 0.750 V
0.976 0.024 0.750 B
0.169 0.831 0.750 B
0.118 0.882 0.250 B
0.882 0.118 0.750 B
0.024 0.976 0.250 B
0.831 0.169 0.250 B
```

Properties
The formation energy is -798 meV per atom. The calculated volume comes out at 83.2 Å³/cell. Its crystal system is orthorhombic.

=====

[8]
This record from the Materials Project database describes SrReO2 after structural relaxation. The functional is PBE-GGA.

The structure in POSCAR format:
```
SrReO2
1.0
-3.120 3.120 6.113
3.120 -3.120 6.113
3.120 3.120 -6.113
O Sr Re
8 4 4
direct
0.123 0.425 0.699 O
0.726 0.425 0.301 O
0.175 0.976 0.801 O
0.024 0.825 0.199 O
0.627 0.825 0.801 O
0.175 0.373 0.199 O
0.575 0.274 0.699 O
0.575 0.877 0.301 O
0.375 0.625 0.750 Sr
0.375 0.125 0.750 Sr
0.375 0.625 0.250 Sr
0.875 0.625 0.250 Sr
0.875 0.125 0.750 Re
0.875 0.125 0.250 Re
0.375 0.125 0.250 Re
0.875 0.625 0.750 Re
```

Properties
The formation energy is -1563 meV per atom. Its energy with MP2020 corrections is -121.1 eV/cell. The calculated volume comes out at 238.0 Å³/cell. Its crystal system is tetragonal. The spin magnetization is 0.115 μB/atom.

=====

- Which of these has the lowest calculated volume?
  Mn3Sb

=====

- Among the records above, which one has the lowest calculated volume?
  Mn3Sb

=====

- Which value of calculated volume does entry 1 give?
  111.2 Å³/cell

=====

- What is the calculated volume in the fifth record?
  2579.0 Å³/cell